Compound: PH9AuC3ClO3
Source: the Materials Project
Functional: PBE-GGA
Structure: optimized geometry

Cell and atoms, written as CIF:
```
data_PH9AuC3ClO3
_chemical_formula_sum 'P8 H72 Au8 C24 Cl8 O24'
_space_group_name_H-M_alt 'P b c a'
_space_group_IT_number 61
_cell_length_a 6.549
_cell_length_b 14.916
_cell_length_c 17.857
_cell_angle_alpha 90.00
_cell_angle_beta 90.00
_cell_angle_gamma 90.00
loop_
_space_group_symop_operation_xyz
'x,y,z'
'-x,-y,-z'
'-x+1/2,-y,z+1/2'
'x+1/2,y,-z+1/2'
'x+1/2,-y+1/2,-z'
'-x+1/2,y+1/2,z'
'-x,y+1/2,-z+1/2'
'x,-y+1/2,z+1/2'
loop_
_atom_site_label
_atom_site_type_symbol
_atom_site_fract_x
_atom_site_fract_y
_atom_site_fract_z
P1 P 0.192 0.127 0.136
H1 H 0.037 0.716 0.934
H2 H 0.054 0.686 0.492
H3 H 0.056 0.673 0.685
H4 H 0.096 0.536 0.566
H5 H 0.131 0.048 0.575
H6 H 0.170 0.182 0.685
H7 H 0.182 0.749 0.246
H8 H 0.232 0.220 0.435
H9 H 0.243 0.021 0.485
Au1 Au 0.204 0.040 0.238
C1 C 0.101 0.717 0.439
C2 C 0.186 0.719 0.691
C3 C 0.245 0.512 0.546
Cl1 Cl 0.217 0.559 0.840
O1 O 0.038 0.661 0.376
O2 O 0.165 0.714 0.132
O3 O 0.234 0.584 0.059
```

The calculation puts the final energy at -745.08 eV per cell. As for the energy with MP2020 corrections: -0.389 Ry per atom. As for the formation energy: -0.6442 eV/atom.

Compound: AuCN3Cl4
Source: the Materials Project
Functional: PBE-GGA
Structure: optimized geometry

Cell and atoms, written as CIF:
```
data_AuCN3Cl4
_chemical_formula_sum 'Au4 C4 N12 Cl16'
_space_group_name_H-M_alt 'P 1 21/c 1'
_space_group_IT_number 14
_cell_length_a 15.606
_cell_length_b 4.206
_cell_length_c 15.118
_cell_angle_alpha 90.00
_cell_angle_beta 94.54
_cell_angle_gamma 90.00
loop_
_space_group_symop_operation_xyz
'x,y,z'
'-x,-y,-z'
'-x,y+1/2,-z+1/2'
'x,-y+1/2,z+1/2'
loop_
_atom_site_label
_atom_site_type_symbol
_atom_site_fract_x
_atom_site_fract_y
_atom_site_fract_z
Au1 Au 0.000 0.000 0.000
Au2 Au 0.500 0.000 0.500
C1 C 0.250 0.233 0.740
N1 N 0.178 0.203 0.281
N2 N 0.256 0.177 0.154
N3 N 0.317 0.081 0.784
Cl1 Cl 0.024 0.711 0.640
Cl2 Cl 0.137 0.654 0.472
Cl3 Cl 0.355 0.604 0.987
Cl4 Cl 0.489 0.211 0.639
```

The calculation puts the final energy at -144.72 eV per cell. As for the energy with MP2020 corrections: -0.316 Ry per atom. As for the formation energy: 0.6968 eV/atom.

Compound: AuCClO
Source: the Materials Project
Functional: PBE-GGA
Structure: optimized geometry

Cell and atoms, written as CIF:
```
data_AuCClO
_chemical_formula_sum 'Au4 C4 Cl4 O4'
_space_group_name_H-M_alt 'C m c m'
_space_group_IT_number 63
_space_group_name_Hall '-C 2c 2'
_cell_length_a 4.473
_cell_length_b 16.693
_cell_length_c 5.581
_cell_angle_alpha 90.00
_cell_angle_beta 90.00
_cell_angle_gamma 90.00
loop_
_atom_site_label
_atom_site_type_symbol
_atom_site_fract_x
_atom_site_fract_y
_atom_site_fract_z
Au1 Au 0.000 0.236 0.250
C1 C 0.000 0.121 0.250
Cl1 Cl 0.000 0.372 0.250
O1 O 0.000 0.053 0.250
```

The calculation puts the final energy at -84.44 eV per cell. As for the energy with MP2020 corrections: -0.401 Ry per atom. As for the formation energy: -0.6248 eV/atom. The value obtained for the energy above the most stable polymorph in this dataset is 0.000 eV/atom.

Compound: AuCClO
Source: the Materials Project
Functional: PBE-GGA
Structure: optimized geometry

Cell and atoms, written as CIF:
```
data_AuCClO
_chemical_formula_sum 'Au4 C4 Cl4 O4'
_space_group_name_H-M_alt 'C m c m'
_space_group_IT_number 63
_space_group_name_Hall '-C 2c 2'
_cell_length_a 6.406
_cell_length_b 14.504
_cell_length_c 7.879
_cell_angle_alpha 90.00
_cell_angle_beta 90.00
_cell_angle_gamma 90.00
loop_
_atom_site_label
_atom_site_type_symbol
_atom_site_fract_x
_atom_site_fract_y
_atom_site_fract_z
Au1 Au 0.000 0.241 0.250
C1 C 0.000 0.111 0.250
Cl1 Cl 0.000 0.396 0.250
O1 O 0.000 0.032 0.250
```

The calculation puts the final energy at -84.03 eV per cell. As for the energy with MP2020 corrections: -0.399 Ry per atom. As for the formation energy: -0.5991 eV/atom. The value obtained for the energy above the most stable polymorph in this dataset is 0.026 eV/atom.

Compound: AuCS2Cl3
Source: the Materials Project
Functional: PBE-GGA
Structure: optimized geometry

Cell and atoms, written as CIF:
```
data_AuCS2Cl3
_chemical_formula_sum 'Au8 C8 S16 Cl24'
_space_group_name_H-M_alt 'C 1 2/c 1'
_space_group_IT_number 15
_cell_length_a 15.530
_cell_length_b 10.712
_cell_length_c 11.620
_cell_angle_alpha 90.00
_cell_angle_beta 119.99
_cell_angle_gamma 90.00
loop_
_space_group_symop_operation_xyz
'x,y,z'
'-x,-y,-z'
'-x,y,-z+1/2'
'x,-y,z+1/2'
'x+1/2,y+1/2,z'
'-x+1/2,-y+1/2,-z'
'-x+1/2,y+1/2,-z+1/2'
'x+1/2,-y+1/2,z+1/2'
loop_
_atom_site_label
_atom_site_type_symbol
_atom_site_fract_x
_atom_site_fract_y
_atom_site_fract_z
Au1 Au 0.169 0.123 0.038
C1 C 0.025 0.273 0.049
S1 S 0.003 0.164 0.569
S2 S 0.148 0.285 0.160
Cl1 Cl 0.061 0.363 0.445
Cl2 Cl 0.158 0.392 0.831
Cl3 Cl 0.160 0.036 0.395
```

The calculation puts the final energy at -216.20 eV per cell. As for the energy with MP2020 corrections: -0.314 Ry per atom. As for the formation energy: -0.5074 eV/atom.

Compound: KCoAu3C6N6
Source: the Materials Project
Functional: PBE-GGA
Structure: optimized geometry

Cell and atoms, written as CIF:
```
data_KCoAu3C6N6
_chemical_formula_sum 'K1 Co1 Au3 C6 N6'
_space_group_name_H-M_alt 'P 3 1 2'
_space_group_IT_number 149
_cell_length_a 7.0533
_cell_length_b 7.0533
_cell_length_c 7.3710
_cell_angle_alpha 90.00
_cell_angle_beta 90.00
_cell_angle_gamma 120.00
loop_
_space_group_symop_operation_xyz
'x,y,z'
'-y,x-y,z'
'-x+y,-x,z'
'-y,-x,-z'
'-x+y,y,-z'
'x,x-y,-z'
loop_
_atom_site_label
_atom_site_type_symbol
_atom_site_fract_x
_atom_site_fract_y
_atom_site_fract_z
K1 K 0.0000 0.0000 0.0000
Co1 Co 0.6667 0.3333 0.0000
Au1 Au 0.1729 0.3458 0.5000
C1 C 0.0017 0.3412 0.2830
N1 N 0.4422 0.1081 0.1607
```

The calculation puts the final energy at -119.72 eV per cell. As for the energy with MP2020 corrections: -0.527 Ry per atom. As for the formation energy: 0.0911 eV/atom.

Compound: CoAu2C4N4
Source: the Materials Project
Functional: PBE-GGA
Structure: optimized geometry

Cell and atoms, written as CIF:
```
data_CoAu2C4N4
_chemical_formula_sum 'Co6 Au12 C24 N24'
_space_group_name_H-M_alt 'P 64 2 2'
_space_group_IT_number 181
_space_group_name_Hall 'P 64 2 (0 0 2)'
_cell_length_a 8.6542
_cell_length_b 8.6542
_cell_length_c 20.2240
_cell_angle_alpha 90.00
_cell_angle_beta 90.00
_cell_angle_gamma 120.00
loop_
_atom_site_label
_atom_site_type_symbol
_atom_site_fract_x
_atom_site_fract_y
_atom_site_fract_z
Co1 Co 0.0000 0.5000 0.2076
Au1 Au 0.0015 0.3171 0.9597
C1 C 0.1851 0.3969 0.8886
C2 C 0.1866 0.4009 0.6375
N1 N 0.1407 0.4387 0.1510
N2 N 0.1449 0.4439 0.4024
```

The calculation puts the final energy at -479.00 eV per cell. As for the energy with MP2020 corrections: -0.543 Ry per atom. As for the formation energy: 0.2399 eV/atom.

Compound: Cs2NaAu3C6N6
Source: the Materials Project
Functional: PBE-GGA
Structure: optimized geometry

Cell and atoms, written as CIF:
```
data_Cs2NaAu3C6N6
_chemical_formula_sum 'Cs4 Na2 Au6 C12 N12'
_space_group_name_H-M_alt 'P 63/m m c'
_space_group_IT_number 194
_space_group_name_Hall '-P 6c 2c'
_cell_length_a 7.3077
_cell_length_b 7.3077
_cell_length_c 18.4185
_cell_angle_alpha 90.00
_cell_angle_beta 90.00
_cell_angle_gamma 120.00
loop_
_atom_site_label
_atom_site_type_symbol
_atom_site_fract_x
_atom_site_fract_y
_atom_site_fract_z
Cs1 Cs 0.3333 0.6667 0.0545
Na1 Na 0.0000 0.0000 0.0000
Au1 Au 0.1742 0.3483 0.7500
C1 C 0.1697 0.3395 0.6419
N1 N 0.1635 0.3269 0.5784
```

The calculation puts the final energy at -239.41 eV per cell. As for the energy with MP2020 corrections: -0.498 Ry per atom. As for the formation energy: -0.1970 eV/atom.

Which value of final energy does entry 5 give?
-216.20 eV per cell

Number 4 is which compound?
AuCClO

Which formula does entry 4 have?
AuCClO

energy with MP2020 corrections of number 6 (KCoAu3C6N6)?
-0.527 Ry per atom